Record 1
Material: HoB3H18C2S
Method: DFT, GGA-PBE
State: relaxed

```
HoB3H18C2S
1.0
5.397 0.000 -0.982
0.000 22.639 0.000
0.044 0.000 8.128
C H B S Ho
8 72 12 4 4
direct
0.281 0.534 0.199
0.643 0.614 0.337
0.281 0.966 0.699
0.719 0.466 0.801
0.357 0.114 0.163
0.357 0.386 0.663
0.719 0.034 0.301
0.643 0.886 0.837
0.786 0.854 0.814
0.296 0.364 0.163
0.720 0.803 0.527
0.337 0.798 0.652
0.490 0.278 0.298
0.315 0.766 0.974
0.870 0.227 0.836
0.759 0.431 0.163
0.685 0.234 0.026
0.130 0.773 0.164
0.368 0.502 0.292
0.214 0.146 0.186
0.368 0.998 0.792
0.130 0.727 0.664
0.073 0.294 0.147
0.040 0.876 0.176
0.142 0.940 0.748
0.008 0.362 0.978
0.704 0.864 0.337
0.992 0.638 0.022
0.040 0.624 0.676
0.805 0.490 0.914
0.139 0.957 0.097
0.663 0.298 0.848
0.992 0.862 0.522
0.142 0.560 0.248
0.632 0.498 0.708
0.296 0.136 0.663
0.609 0.109 0.839
0.720 0.697 0.027
0.008 0.138 0.478
0.490 0.222 0.798
0.663 0.202 0.348
0.241 0.931 0.337
0.501 0.138 0.112
0.499 0.862 0.888
0.858 0.060 0.252
0.805 0.010 0.414
0.214 0.354 0.686
0.195 0.990 0.586
0.685 0.266 0.526
0.927 0.706 0.853
0.280 0.303 0.973
0.391 0.609 0.661
0.861 0.457 0.403
0.139 0.543 0.597
0.927 0.794 0.353
0.729 0.920 0.924
0.858 0.440 0.752
0.501 0.362 0.612
0.870 0.273 0.336
0.315 0.734 0.474
0.280 0.197 0.473
0.960 0.376 0.324
0.499 0.638 0.388
0.271 0.080 0.076
0.759 0.069 0.663
0.960 0.124 0.824
0.609 0.391 0.339
0.510 0.722 0.702
0.704 0.636 0.837
0.073 0.206 0.647
0.337 0.702 0.152
0.632 0.002 0.208
0.195 0.510 0.086
0.729 0.580 0.424
0.510 0.778 0.202
0.271 0.420 0.576
0.241 0.569 0.837
0.861 0.043 0.903
0.786 0.646 0.314
0.391 0.891 0.161
0.165 0.331 0.065
0.200 0.915 0.187
0.678 0.255 0.377
0.165 0.169 0.565
0.322 0.745 0.623
0.800 0.085 0.813
0.800 0.415 0.313
0.678 0.245 0.877
0.322 0.755 0.123
0.200 0.585 0.687
0.835 0.831 0.435
0.835 0.669 0.935
0.520 0.920 0.639
0.520 0.580 0.139
0.480 0.080 0.361
0.480 0.420 0.861
0.319 0.833 0.382
0.681 0.333 0.118
0.319 0.667 0.882
0.681 0.167 0.618
```

**Energy relative to the elements**: -6.56 eV/f.u.

Record 2
Material: KSi2BPH27C9
Method: DFT, GGA-PBE
State: relaxed

```
KSi2BPH27C9
1.0
13.790 2.715 -2.492
4.297 -11.229 11.545
-1.501 -6.885 -15.805
H C K P B Si
216 72 8 8 8 16
direct
0.693 0.112 0.119
0.098 0.492 0.661
0.912 0.669 0.260
0.980 0.135 0.723
0.148 0.031 0.196
0.071 0.565 0.878
0.360 0.243 0.523
0.862 0.766 0.332
0.241 0.493 0.848
0.291 0.811 0.245
0.942 0.241 0.790
0.640 0.757 0.477
0.307 0.888 0.881
0.362 0.734 0.168
0.020 0.865 0.277
0.074 0.628 0.426
0.852 0.969 0.804
0.208 0.533 0.645
0.741 0.007 0.652
0.395 0.591 0.117
0.979 0.177 0.082
0.149 0.984 0.573
0.104 0.789 0.457
0.105 0.091 0.617
0.855 0.000 0.610
0.688 0.053 0.251
0.764 0.934 0.548
0.759 0.600 0.852
0.807 0.612 0.619
0.264 0.756 0.035
0.401 0.193 0.168
0.922 0.694 0.033
0.709 0.189 0.755
0.597 0.274 0.010
0.855 0.464 0.630
0.099 0.881 0.856
0.716 0.069 0.010
0.037 0.753 0.761
0.649 0.516 0.927
0.159 0.523 0.092
0.586 0.907 0.185
0.792 0.467 0.355
0.341 0.023 0.592
0.659 0.977 0.408
0.311 0.425 0.240
0.784 0.569 0.510
0.689 0.575 0.760
0.521 0.677 0.582
0.041 0.840 0.169
0.482 0.937 0.694
0.895 0.909 0.383
0.773 0.887 0.996
0.541 0.135 0.593
0.841 0.477 0.908
0.959 0.635 0.093
0.422 0.806 0.467
0.534 0.269 0.097
0.503 0.147 0.192
0.140 0.743 0.023
0.184 0.636 0.135
0.901 0.307 0.332
0.802 0.521 0.284
0.056 0.021 0.260
0.034 0.231 0.403
0.338 0.727 0.523
0.292 0.033 0.145
0.429 0.065 0.378
0.684 0.864 0.365
0.736 0.244 0.965
0.799 0.275 0.446
0.638 0.266 0.832
0.024 0.139 0.428
0.879 0.234 0.652
0.660 0.134 0.565
0.903 0.774 0.510
0.571 0.935 0.622
0.605 0.409 0.883
0.895 0.409 0.813
0.041 0.365 0.907
0.259 0.993 0.348
0.520 0.635 0.223
0.508 0.839 0.607
0.976 0.861 0.572
0.578 0.194 0.533
0.897 0.073 0.018
0.296 0.331 0.923
0.840 0.634 0.065
0.264 0.566 0.952
0.662 0.273 0.477
0.121 0.766 0.348
0.599 0.619 0.644
0.556 0.479 0.240
0.524 0.361 0.072
0.442 0.612 0.733
0.355 0.036 0.870
0.812 0.553 0.751
0.621 0.734 0.152
0.645 0.500 0.110
0.497 0.853 0.808
0.605 0.909 0.313
0.810 0.151 0.928
0.099 0.693 0.668
0.438 0.511 0.152
0.355 0.500 0.890
0.562 0.489 0.848
0.632 0.155 0.053
0.402 0.992 0.161
0.352 0.531 0.696
0.690 0.651 0.428
0.479 0.323 0.418
0.466 0.731 0.903
0.189 0.925 0.740
0.704 0.669 0.077
0.463 0.253 0.261
0.816 0.364 0.865
0.541 0.660 0.331
0.796 0.169 0.577
0.708 0.967 0.855
0.811 0.075 0.260
0.201 0.725 0.554
0.860 0.257 0.977
0.198 0.479 0.716
0.599 0.807 0.832
0.299 0.225 0.054
0.188 0.447 0.249
0.838 0.773 0.977
0.190 0.849 0.072
0.162 0.227 0.023
0.982 0.563 0.806
0.997 0.647 0.692
0.414 0.093 0.815
0.966 0.769 0.597
0.851 0.016 0.427
0.105 0.591 0.187
0.401 0.381 0.356
0.518 0.063 0.306
0.397 0.427 0.482
0.648 0.469 0.304
0.103 0.927 0.982
0.959 0.160 0.831
0.216 0.431 0.490
0.351 0.484 0.073
0.442 0.259 0.710
0.145 0.536 0.370
0.603 0.573 0.518
0.302 0.979 0.216
0.598 0.008 0.839
0.914 0.407 0.685
0.558 0.741 0.290
0.236 0.066 0.452
0.021 0.823 0.918
0.492 0.161 0.393
0.241 0.400 0.148
0.086 0.593 0.315
0.558 0.388 0.267
0.259 0.900 0.648
0.008 0.661 0.893
0.764 0.744 0.465
0.459 0.865 0.407
0.160 0.366 0.935
0.896 0.211 0.543
0.193 0.388 0.381
0.701 0.775 0.946
0.138 0.234 0.668
0.273 0.613 0.504
0.741 0.100 0.352
0.209 0.311 0.745
0.459 0.340 0.669
0.942 0.888 0.767
0.396 0.289 0.957
0.588 0.169 0.760
0.791 0.689 0.255
0.938 0.989 0.348
0.412 0.831 0.240
0.368 0.845 0.947
0.088 0.331 0.740
0.698 0.021 0.784
0.340 0.866 0.435
0.312 0.947 0.749
0.395 0.091 0.687
0.132 0.345 0.447
0.480 0.365 0.777
0.379 0.266 0.848
0.078 0.306 0.967
0.868 0.655 0.553
0.645 0.964 0.130
0.727 0.387 0.496
0.058 0.759 0.210
0.929 0.435 0.122
0.944 0.979 0.740
0.963 0.247 0.239
0.003 0.353 0.308
0.227 0.113 0.004
0.097 0.226 0.490
0.145 0.000 0.390
0.476 0.639 0.928
0.444 0.521 0.760
0.204 0.831 0.423
0.316 0.136 0.635
0.018 0.437 0.194
0.426 0.128 0.926
0.902 0.508 0.339
0.926 0.372 0.574
0.403 0.726 0.990
0.310 0.349 0.572
0.574 0.872 0.074
0.058 0.112 0.233
0.062 0.011 0.652
0.284 0.931 0.990
0.604 0.711 0.043
0.236 0.256 0.535
0.736 0.434 0.048
0.759 0.507 0.152
0.992 0.339 0.107
0.901 0.119 0.144
0.537 0.747 0.739
0.640 0.220 0.766
0.829 0.421 0.849
0.793 0.962 0.612
0.598 0.175 0.585
0.897 0.932 0.751
0.378 0.100 0.873
0.941 0.313 0.280
0.697 0.356 0.687
0.656 0.725 0.093
0.700 0.716 0.478
0.074 0.188 0.425
0.663 0.976 0.807
0.751 0.053 0.287
0.300 0.284 0.522
0.402 0.825 0.415
0.512 0.686 0.286
0.329 0.079 0.651
0.140 0.280 0.734
0.039 0.603 0.845
0.441 0.187 0.220
0.622 0.900 0.127
0.059 0.687 0.720
0.860 0.720 0.266
0.207 0.038 0.388
0.671 0.921 0.349
0.699 0.129 0.064
0.251 0.447 0.213
0.539 0.897 0.655
0.625 0.465 0.868
0.122 0.600 0.373
0.103 0.068 0.249
0.249 0.947 0.713
0.603 0.432 0.251
0.844 0.225 0.593
0.125 0.035 0.632
0.559 0.813 0.780
0.303 0.644 0.313
0.837 0.476 0.307
0.293 0.538 0.888
0.574 0.312 0.075
0.426 0.688 0.925
0.801 0.629 0.564
0.200 0.784 0.022
0.731 0.806 0.663
0.803 0.856 0.187
0.461 0.103 0.345
0.337 0.024 0.193
0.012 0.814 0.214
0.231 0.694 0.837
0.902 0.675 0.085
0.301 0.871 0.936
0.961 0.397 0.155
0.197 0.144 0.813
0.878 0.400 0.627
0.926 0.812 0.575
0.344 0.275 0.907
0.707 0.462 0.112
0.163 0.524 0.693
0.875 0.965 0.368
0.199 0.371 0.436
0.488 0.314 0.714
0.171 0.579 0.151
0.769 0.306 0.163
0.749 0.553 0.787
0.269 0.194 0.337
0.098 0.325 0.915
0.360 0.780 0.234
0.156 0.775 0.407
0.988 0.186 0.786
0.375 0.535 0.132
0.800 0.216 0.978
0.397 0.568 0.749
0.683 0.262 0.309
0.183 0.238 0.191
0.070 0.067 0.913
0.317 0.738 0.691
0.817 0.762 0.809
0.430 0.567 0.413
0.570 0.433 0.587
0.930 0.933 0.087
0.779 0.324 0.606
0.279 0.176 0.894
0.221 0.676 0.394
0.705 0.707 0.581
0.205 0.793 0.919
0.721 0.824 0.106
0.295 0.293 0.419
0.795 0.207 0.081
0.264 0.687 0.505
0.736 0.313 0.495
0.236 0.187 0.005
0.406 0.362 0.417
0.594 0.638 0.583
0.906 0.138 0.083
0.764 0.813 0.995
0.094 0.862 0.917
0.329 0.627 0.851
0.388 0.729 0.312
0.725 0.441 0.790
0.275 0.559 0.210
0.871 0.368 0.221
0.171 0.127 0.351
0.112 0.229 0.812
0.671 0.373 0.149
0.371 0.132 0.279
0.129 0.632 0.779
0.225 0.059 0.710
0.888 0.771 0.188
0.629 0.868 0.721
0.829 0.873 0.649
0.612 0.271 0.688
0.775 0.941 0.290
```

**Energy relative to the elements**: -8.36 eV/f.u.

Total DFT energy (no corrections) per entry: -4.5734; -5.0506 eV per atom